Material: Mg14TiCdO16
Method: DFT, PBE
State: relaxed

CIF file:
```
data_Mg14TiCdO16
_space_group_name_H-M_alt 'P 1'
_space_group_IT_number 1
_cell_length_a 8.645
_cell_length_b 8.681
_cell_length_c 4.315
_cell_angle_alpha 90.00
_cell_angle_beta 90.00
_cell_angle_gamma 90.00
loop_
_space_group_symop_operation_xyz
'x,y,z'
loop_
_atom_site_label
_atom_site_type_symbol
_atom_site_fract_x
_atom_site_fract_y
_atom_site_fract_z
O1 O 0.500 0.247 0.000
O2 O 0.255 0.000 0.000
Mg1 Mg 0.255 0.500 0.500
O3 O 0.000 0.763 0.000
O4 O 0.249 0.750 0.500
O5 O 0.751 0.750 0.500
O6 O 0.268 0.500 0.000
Mg2 Mg 0.746 0.750 0.000
Ti1 Ti 0.000 0.000 0.000
Mg3 Mg 0.000 0.752 0.500
Mg4 Mg 0.254 0.750 0.000
Mg5 Mg 0.253 0.000 0.500
Mg6 Mg 0.746 0.250 0.000
Mg7 Mg 0.500 0.500 0.000
Mg8 Mg 0.000 0.248 0.500
Mg9 Mg 0.500 0.750 0.500
Mg10 Mg 0.254 0.250 0.000
O7 O 0.249 0.250 0.500
O8 O 0.745 0.000 0.000
O9 O 0.751 0.250 0.500
Mg11 Mg 0.747 0.000 0.500
O10 O 0.500 0.000 0.500
Mg12 Mg 0.500 0.000 0.000
O11 O 0.500 0.753 0.000
Mg13 Mg 0.745 0.500 0.500
O12 O 0.000 0.000 0.500
O13 O 0.000 0.500 0.500
O14 O 0.732 0.500 0.000
Cd1 Cd 0.000 0.500 0.000
Mg14 Mg 0.500 0.250 0.500
O15 O 0.500 0.500 0.500
O16 O 0.000 0.237 0.000
```

Output
The value obtained for the mass density is 3.9 g/cm3. For the relative energy among the computed polymorphs, the calculation gives 3 meV per atom.